Entry from the Materials Project: CeSe2 after structural relaxation (GGA-PBE).

Output
**Spin magnetization**: 0.000 μB/cell
**Total energy**: -5.39 eV/atom
**Formation enthalpy at 0 K**: -1.3952 eV per atom
**Crystal system**: monoclinic

Geometry as CIF:
```
data_CeSe2
_chemical_formula_sum 'Ce56 Se112'
_cell_length_a 51.367
_cell_length_b 14.397
_cell_length_c 21.233
_cell_angle_alpha 90.00
_cell_angle_beta 105.94
_cell_angle_gamma 90.00
_symmetry_space_group_name_H-M 'C 1 2/m 1'
_symmetry_Int_Tables_number 12
loop_
_symmetry_equiv_pos_as_xyz
'x,y,z'
'-x,-y,-z'
'-x,y,-z'
'x,-y,z'
'x+1/2,y+1/2,z'
'-x+1/2,-y+1/2,-z'
'-x+1/2,y+1/2,-z'
'x+1/2,-y+1/2,z'
loop_
_atom_site_label
_atom_site_fract_x
_atom_site_fract_y
_atom_site_fract_z
_atom_site_occupancy
Ce1 0.047 0.187 0.159 1
Ce2 0.052 0.313 0.930 1
Ce3 0.138 0.316 0.310 1
Ce4 0.141 0.185 0.892 1
Ce5 0.191 0.318 0.125 1
Ce6 0.204 0.186 0.526 1
Ce7 0.210 0.314 0.763 1
Se1 0.003 0.264 0.849 1
Se2 0.045 0.000 0.178 1
Se3 0.052 0.500 0.952 1
Se4 0.060 0.221 0.045 1
Se5 0.085 0.264 0.261 1
Se6 0.092 0.269 0.873 1
Se7 0.134 0.000 0.865 1
Se8 0.140 0.500 0.341 1
Se9 0.161 0.215 0.420 1
Se10 0.165 0.285 0.219 1
Se11 0.168 0.263 0.812 1
Se12 0.170 0.208 0.020 1
Se13 0.184 0.500 0.088 1
Se14 0.197 0.277 0.632 1
Se15 0.209 0.000 0.553 1
Se16 0.219 0.500 0.783 1
Se17 0.245 0.282 0.175 1
Se18 0.250 0.250 0.500 1
```


Entry from the Materials Project: ZnGaCuSe3 after structural relaxation (GGA-PBE).

Output
**Spin magnetization**: 0.001 μB/cell
**Total energy**: -3.69 eV/atom
**Formation enthalpy at 0 K**: -0.7780 eV per atom
**Crystal system**: monoclinic

Geometry as CIF:
```
data_ZnGaCuSe3
_chemical_formula_sum 'Zn2 Ga2 Cu2 Se6'
_cell_length_a 13.310
_cell_length_b 4.015
_cell_length_c 5.693
_cell_angle_alpha 90.00
_cell_angle_beta 115.30
_cell_angle_gamma 90.00
_symmetry_space_group_name_H-M 'C 1 m 1'
_symmetry_Int_Tables_number 8
loop_
_symmetry_equiv_pos_as_xyz
'x,y,z'
'x,-y,z'
'x+1/2,y+1/2,z'
'x+1/2,-y+1/2,z'
loop_
_atom_site_label
_atom_site_fract_x
_atom_site_fract_y
_atom_site_fract_z
_atom_site_occupancy
Zn1 0.000 0.000 0.000 1
Ga1 0.172 0.500 0.660 1
Cu1 0.337 0.000 0.342 1
Se1 0.001 0.500 0.257 1
Se2 0.173 0.000 0.925 1
Se3 0.336 0.500 0.579 1
```


Entry from the Materials Project: LaSiAs3 after structural relaxation (GGA-PBE).

Output
**Total energy**: -5.50 eV/atom
**Formation enthalpy at 0 K**: -0.6341 eV per atom
**E above lowest polymorph**: 0.023 eV/atom
**Crystal system**: orthorhombic

Geometry as CIF:
```
data_LaSiAs3
_chemical_formula_sum 'La8 Si8 As24'
_cell_length_a 5.967
_cell_length_b 26.669
_cell_length_c 6.031
_cell_angle_alpha 90.00
_cell_angle_beta 90.00
_cell_angle_gamma 90.00
_symmetry_space_group_name_H-M 'P b c a'
_symmetry_Int_Tables_number 61
loop_
_symmetry_equiv_pos_as_xyz
'x,y,z'
'-x,-y,-z'
'-x+1/2,-y,z+1/2'
'x+1/2,y,-z+1/2'
'x+1/2,-y+1/2,-z'
'-x+1/2,y+1/2,z'
'-x,y+1/2,-z+1/2'
'x,-y+1/2,z+1/2'
loop_
_atom_site_label
_atom_site_fract_x
_atom_site_fract_y
_atom_site_fract_z
_atom_site_occupancy
La1 0.002 0.091 0.000 1
Si1 0.080 0.707 0.085 1
As1 0.005 0.124 0.505 1
As2 0.024 0.211 0.038 1
As3 0.248 0.000 0.748 1
```